First-principles (GGA-PBE) data for crystalline NpAsSe at its relaxed geometry, as listed in the Materials Project.

formation enthalpy at 0 K: -1.115 eV/atom
SG: P4/nmm (129)
raw total energy: -47.9 eV per cell
density: 9.75 g cm⁻³

Cell: 3.981 3.981 8.397 Å, 90.00 90.00 90.00°
Sites, in units of the cell vectors:
Np  0.250  0.250  0.224
Np  0.750  0.750  0.776
As  0.250  0.750  0.500
As  0.750  0.250  0.500
Se  0.250  0.250  0.864
Se  0.750  0.750  0.136

=====

First-principles (GGA-PBE) data for crystalline As2O5 at its relaxed geometry, as listed in the Materials Project.

formation enthalpy at 0 K: -1.560 eV/atom
SG: P2_12_12_1 (19)
raw total energy: -166.2 eV per cell
density: 4.23 g cm⁻³

Cell: 4.716 8.691 8.816 Å, 90.00 90.00 90.00°
Sites, in units of the cell vectors:
As  0.119  0.033  0.284
As  0.124  0.653  0.902
As  0.376  0.347  0.402
As  0.381  0.967  0.784
As  0.619  0.467  0.716
As  0.624  0.847  0.098
As  0.876  0.153  0.598
As  0.881  0.533  0.216
O  0.051  0.004  0.476
O  0.102  0.315  0.546
O  0.129  0.107  0.759
O  0.168  0.520  0.335
O  0.206  0.225  0.252
O  0.294  0.775  0.752
O  0.332  0.480  0.835
O  0.371  0.893  0.259
O  0.398  0.685  0.046
O  0.449  0.996  0.976
O  0.551  0.496  0.524
O  0.602  0.185  0.454
O  0.629  0.393  0.241
O  0.668  0.980  0.665
O  0.706  0.275  0.748
O  0.794  0.725  0.248
O  0.832  0.020  0.165
O  0.871  0.607  0.741
O  0.898  0.815  0.954
O  0.949  0.504  0.024

=====

First-principles (GGA-PBE) data for crystalline As2O5 at its relaxed geometry, as listed in the Materials Project.

formation enthalpy at 0 K: -1.561 eV/atom
SG: P4_32_12 (96)
raw total energy: -166.2 eV per cell
density: 4.22 g cm⁻³

Cell: 8.764 8.764 4.712 Å, 90.00 90.00 90.00°
Sites, in units of the cell vectors:
As  0.097  0.097  0.000
As  0.216  0.784  0.250
As  0.284  0.284  0.500
As  0.403  0.597  0.750
As  0.597  0.403  0.250
As  0.716  0.716  0.000
As  0.784  0.216  0.750
As  0.903  0.903  0.500
O  0.024  0.754  0.327
O  0.057  0.943  0.750
O  0.154  0.266  0.230
O  0.234  0.654  0.980
O  0.246  0.976  0.173
O  0.254  0.476  0.577
O  0.266  0.154  0.770
O  0.346  0.766  0.520
O  0.443  0.443  0.000
O  0.476  0.254  0.423
O  0.524  0.746  0.923
O  0.557  0.557  0.500
O  0.654  0.234  0.020
O  0.734  0.846  0.270
O  0.746  0.524  0.077
O  0.754  0.024  0.673
O  0.766  0.346  0.480
O  0.846  0.734  0.730
O  0.943  0.057  0.250
O  0.976  0.246  0.827

=====

First-principles (GGA-PBE) data for crystalline As2O5 at its relaxed geometry, as listed in the Materials Project.

formation enthalpy at 0 K: -1.561 eV/atom
SG: P4_12_12 (92)
raw total energy: -166.2 eV per cell
maximum piezoelectric response: 0.25 C/m²
density: 4.22 g cm⁻³

Cell: 8.764 8.764 4.712 Å, 90.00 90.00 90.00°
Sites, in units of the cell vectors:
As  0.097  0.097  0.000
As  0.216  0.784  0.750
As  0.284  0.284  0.500
As  0.403  0.597  0.250
As  0.597  0.403  0.750
As  0.716  0.716  0.000
As  0.784  0.216  0.250
As  0.903  0.903  0.500
O  0.024  0.754  0.673
O  0.057  0.943  0.250
O  0.154  0.266  0.770
O  0.234  0.654  0.020
O  0.246  0.976  0.827
O  0.254  0.476  0.423
O  0.266  0.154  0.230
O  0.346  0.766  0.480
O  0.443  0.443  0.000
O  0.476  0.254  0.577
O  0.524  0.746  0.077
O  0.557  0.557  0.500
O  0.654  0.234  0.980
O  0.734  0.846  0.730
O  0.746  0.524  0.923
O  0.754  0.024  0.327
O  0.766  0.346  0.520
O  0.846  0.734  0.270
O  0.943  0.057  0.750
O  0.976  0.246  0.173

=====

First-principles (GGA-PBE) data for crystalline AsPO4 at its relaxed geometry, as listed in the Materials Project.

formation enthalpy at 0 K: -2.201 eV/atom
SG: Pnma (62)
raw total energy: -161.3 eV per cell
density: 3.29 g cm⁻³

Cell: 8.720 5.044 7.788 Å, 90.00 90.00 90.00°
Sites, in units of the cell vectors:
As  0.224  0.250  0.179
As  0.276  0.750  0.679
As  0.724  0.250  0.321
As  0.776  0.750  0.821
P  0.097  0.250  0.810
P  0.403  0.750  0.310
P  0.597  0.250  0.690
P  0.903  0.750  0.190
O  0.060  0.750  0.114
O  0.123  0.002  0.690
O  0.123  0.498  0.690
O  0.235  0.250  0.943
O  0.265  0.750  0.443
O  0.377  0.502  0.190
O  0.377  0.998  0.190
O  0.440  0.250  0.614
O  0.560  0.750  0.386
O  0.623  0.002  0.810
O  0.623  0.498  0.810
O  0.735  0.250  0.557
O  0.765  0.750  0.057
O  0.877  0.502  0.310
O  0.877  0.998  0.310
O  0.940  0.250  0.886

=====

First-principles (GGA-PBE) data for crystalline AsP3Pb2O16 at its relaxed geometry, as listed in the Materials Project.

formation enthalpy at 0 K: -1.427 eV/atom
SG: P1 (1)
raw total energy: -136.3 eV per cell
density: 4.27 g cm⁻³

Cell: 5.585 7.719 8.450 Å, 65.68 82.19 79.68°
Sites, in units of the cell vectors:
As  0.000  0.000  0.000
P  0.261  0.201  0.390
P  0.411  0.618  0.487
P  0.841  0.583  0.905
Pb  0.428  0.301  0.927
Pb  0.822  0.905  0.467
O  0.031  0.111  0.490
O  0.084  0.764  0.995
O  0.088  0.488  0.861
O  0.156  0.705  0.527
O  0.190  0.402  0.422
O  0.261  0.089  0.888
O  0.279  0.245  0.197
O  0.397  0.519  0.350
O  0.496  0.100  0.484
O  0.529  0.468  0.651
O  0.587  0.765  0.377
O  0.659  0.442  0.009
O  0.733  0.753  0.747
O  0.743  0.104  0.891
O  0.866  0.662  0.055
O  0.989  0.994  0.204

=====

First-principles (GGA-PBE) data for crystalline Zn15Te5As2P8Pb15O70 at its relaxed geometry, as listed in the Materials Project.

formation enthalpy at 0 K: -2.019 eV/atom
SG: P1 (1)
raw total energy: -673.4 eV per cell
density: 6.16 g cm⁻³

Cell: 5.279 8.581 37.398 Å, 83.42 90.00 90.00°
Sites, in units of the cell vectors:
Zn  0.000  0.000  0.000
Zn  0.000  0.001  0.750
Zn  0.000  0.151  0.450
Zn  0.000  0.200  0.600
Zn  0.000  0.551  0.650
Zn  0.000  0.600  0.800
Zn  0.000  0.601  0.550
Zn  0.000  0.951  0.850
Zn  0.001  0.401  0.950
Zn  0.996  0.193  0.350
Zn  0.997  0.354  0.048
Zn  0.997  0.404  0.201
Zn  0.997  0.754  0.249
Zn  0.997  0.793  0.150
Zn  0.997  0.804  0.402
Te  0.500  0.051  0.400
Te  0.500  0.250  0.000
Te  0.500  0.450  0.600
Te  0.500  0.650  0.200
Te  0.500  0.850  0.800
As  0.038  0.184  0.133
As  0.038  0.584  0.334
P  0.041  0.384  0.733
P  0.041  0.784  0.933
P  0.041  0.984  0.533
P  0.959  0.117  0.267
P  0.959  0.317  0.867
P  0.959  0.517  0.467
P  0.959  0.717  0.067
P  0.960  0.917  0.667
Pb  0.498  0.007  0.080
Pb  0.498  0.053  0.201
Pb  0.498  0.407  0.280
Pb  0.498  0.452  0.401
Pb  0.498  0.491  0.119
Pb  0.499  0.891  0.319
Pb  0.500  0.090  0.920
Pb  0.500  0.209  0.681
Pb  0.500  0.253  0.800
Pb  0.500  0.289  0.520
Pb  0.500  0.609  0.881
Pb  0.500  0.653  0.000
Pb  0.500  0.689  0.720
Pb  0.500  0.853  0.600
Pb  0.501  0.809  0.481
O  0.155  0.493  0.760
O  0.155  0.816  0.544
O  0.155  0.842  0.896
O  0.155  0.893  0.960
O  0.156  0.042  0.496
O  0.156  0.093  0.560
O  0.156  0.216  0.744
O  0.156  0.442  0.696
O  0.156  0.616  0.944
O  0.172  0.248  0.092
O  0.173  0.001  0.145
O  0.173  0.302  0.163
O  0.173  0.401  0.346
O  0.173  0.648  0.292
O  0.173  0.703  0.363
O  0.250  0.117  0.267
O  0.251  0.317  0.867
O  0.251  0.517  0.467
O  0.251  0.717  0.067
O  0.251  0.917  0.667
O  0.289  0.011  0.819
O  0.289  0.084  0.024
O  0.289  0.210  0.419
O  0.289  0.257  0.957
O  0.289  0.284  0.625
O  0.289  0.457  0.557
O  0.289  0.610  0.619
O  0.289  0.684  0.825
O  0.289  0.857  0.757
O  0.290  0.055  0.357
O  0.290  0.412  0.018
O  0.290  0.485  0.225
O  0.290  0.655  0.157
O  0.290  0.811  0.218
O  0.290  0.885  0.425
O  0.711  0.214  0.043
O  0.711  0.229  0.382
O  0.711  0.413  0.643
O  0.712  0.029  0.782
O  0.712  0.109  0.975
O  0.712  0.309  0.576
O  0.712  0.629  0.582
O  0.712  0.709  0.775
O  0.712  0.813  0.843
O  0.713  0.013  0.443
O  0.713  0.429  0.982
O  0.713  0.510  0.175
O  0.713  0.613  0.243
O  0.713  0.829  0.182
O  0.713  0.910  0.376
O  0.714  0.184  0.133
O  0.714  0.584  0.333
O  0.750  0.384  0.733
O  0.750  0.784  0.933
O  0.750  0.984  0.533
O  0.844  0.137  0.305
O  0.844  0.253  0.240
O  0.844  0.561  0.056
O  0.844  0.653  0.440
O  0.844  0.738  0.104
O  0.845  0.053  0.640
O  0.845  0.161  0.856
O  0.845  0.338  0.905
O  0.845  0.453  0.840
O  0.845  0.538  0.505
O  0.845  0.761  0.656
O  0.845  0.938  0.705
O  0.845  0.961  0.256
O  0.846  0.360  0.456
O  0.846  0.853  0.040

=====

First-principles (GGA-PBE) data for crystalline As2Pb8O13 at its relaxed geometry, as listed in the Materials Project.

formation enthalpy at 0 K: -1.636 eV/atom
SG: C2/m (12)
raw total energy: -264.1 eV per cell
density: 7.61 g cm⁻³

Cell: 7.703 7.703 14.979 Å, 95.64 95.64 87.85°
Sites, in units of the cell vectors:
As  0.248  0.752  0.000
As  0.343  0.343  0.403
As  0.657  0.657  0.597
As  0.752  0.248  0.000
Pb  0.042  0.579  0.205
Pb  0.066  0.066  0.216
Pb  0.169  0.662  0.599
Pb  0.174  0.174  0.617
Pb  0.240  0.240  0.981
Pb  0.338  0.831  0.401
Pb  0.421  0.958  0.795
Pb  0.424  0.424  0.799
Pb  0.576  0.576  0.201
Pb  0.579  0.042  0.205
Pb  0.662  0.169  0.599
Pb  0.760  0.760  0.019
Pb  0.826  0.826  0.383
Pb  0.831  0.338  0.401
Pb  0.934  0.934  0.784
Pb  0.958  0.421  0.795
O  0.077  0.769  0.068
O  0.109  0.828  0.291
O  0.170  0.453  0.694
O  0.172  0.891  0.709
O  0.189  0.189  0.364
O  0.228  0.228  0.833
O  0.231  0.923  0.932
O  0.236  0.558  0.932
O  0.271  0.537  0.360
O  0.359  0.359  0.519
O  0.442  0.764  0.068
O  0.453  0.170  0.694
O  0.463  0.729  0.640
O  0.537  0.271  0.360
O  0.547  0.830  0.306
O  0.558  0.236  0.932
O  0.641  0.641  0.481
O  0.729  0.463  0.640
O  0.764  0.442  0.068
O  0.769  0.077  0.068
O  0.772  0.772  0.167
O  0.811  0.811  0.636
O  0.828  0.109  0.291
O  0.830  0.547  0.306
O  0.891  0.172  0.709
O  0.923  0.231  0.932

=====

First-principles (GGA-PBE) data for crystalline AsPbO4 at its relaxed geometry, as listed in the Materials Project.

formation enthalpy at 0 K: -1.501 eV/atom
SG: P2/c (13)
raw total energy: -68.8 eV per cell
density: 6.33 g cm⁻³

Cell: 4.985 6.009 6.071 Å, 90.00 93.69 90.00°
Sites, in units of the cell vectors:
As  0.000  0.244  0.250
As  0.000  0.756  0.750
Pb  0.500  0.229  0.750
Pb  0.500  0.771  0.250
O  0.181  0.410  0.075
O  0.181  0.590  0.575
O  0.241  0.090  0.395
O  0.241  0.910  0.895
O  0.759  0.090  0.105
O  0.759  0.910  0.605
O  0.819  0.410  0.425
O  0.819  0.590  0.925

=====

First-principles (GGA-PBE) data for crystalline As2PbO4 at its relaxed geometry, as listed in the Materials Project.

formation enthalpy at 0 K: -1.649 eV/atom
SG: P2_1/c (14)
raw total energy: -166.5 eV per cell
density: 5.31 g cm⁻³

Cell: 7.336 12.160 6.401 Å, 90.00 112.80 90.00°
Sites, in units of the cell vectors:
As  0.130  0.141  0.014
As  0.130  0.359  0.514
As  0.208  0.584  0.298
As  0.208  0.916  0.798
As  0.792  0.084  0.202
As  0.792  0.416  0.702
As  0.870  0.641  0.486
As  0.870  0.859  0.986
Pb  0.484  0.658  0.903
Pb  0.484  0.842  0.403
Pb  0.516  0.158  0.597
Pb  0.516  0.342  0.097
O  0.053  0.090  0.242
O  0.053  0.410  0.742
O  0.289  0.021  0.025
O  0.289  0.479  0.525
O  0.307  0.698  0.480
O  0.307  0.802  0.980
O  0.322  0.224  0.203
O  0.322  0.276  0.703
O  0.678  0.724  0.297
O  0.678  0.776  0.797
O  0.693  0.198  0.020
O  0.693  0.302  0.520
O  0.711  0.521  0.475
O  0.711  0.979  0.975
O  0.947  0.590  0.258
O  0.947  0.910  0.758

=====

First-principles (GGA-PBE) data for crystalline As2PbO8 at its relaxed geometry, as listed in the Materials Project.

formation enthalpy at 0 K: -0.870 eV/atom
SG: P-1 (2)
raw total energy: -121.8 eV per cell
density: 4.67 g cm⁻³

Cell: 5.707 8.304 8.436 Å, 65.85 74.36 73.98°
Sites, in units of the cell vectors:
As  0.144  0.079  0.199
As  0.354  0.513  0.276
As  0.646  0.487  0.724
As  0.856  0.921  0.801
Pb  0.271  0.194  0.726
Pb  0.729  0.806  0.274
O  0.096  0.301  0.172
O  0.131  0.689  0.196
O  0.137  0.989  0.697
O  0.252  0.042  0.003
O  0.256  0.328  0.439
O  0.353  0.944  0.338
O  0.387  0.442  0.700
O  0.497  0.427  0.077
O  0.503  0.573  0.923
O  0.613  0.558  0.300
O  0.647  0.056  0.662
O  0.744  0.672  0.561
O  0.748  0.958  0.997
O  0.863  0.011  0.303
O  0.869  0.311  0.804
O  0.904  0.699  0.828